Record 1
Computed, not measured: a relaxed structure of Mg2Ta2VO8 at the PBE with a Hubbard U level of DFT.

## Properties
Energy relative to the elements in kJ per mole of atoms: -300.4
Volume in Å³/atom: 11.7

a b c (Å): 5.229 6.024 19.306
angles (deg): 89.99 90.02 90.00
Element x y z (fractional)
Mg 0.755 0.141 0.273
Mg 0.255 0.355 0.773
Mg 0.745 0.641 0.227
Mg 0.255 0.855 0.273
Mg 0.245 0.855 0.727
Mg 0.245 0.355 0.227
Mg 0.755 0.641 0.773
Mg 0.745 0.141 0.727
O 0.620 0.351 0.808
O 0.903 0.371 0.939
O 0.120 0.145 0.308
O 0.381 0.645 0.192
O 0.120 0.645 0.808
O 0.045 0.102 0.813
O 0.597 0.871 0.561
O 0.620 0.852 0.308
O 0.045 0.602 0.313
O 0.545 0.395 0.313
O 0.922 0.388 0.427
O 0.422 0.608 0.427
O 0.545 0.895 0.813
O 0.455 0.602 0.687
O 0.455 0.102 0.187
O 0.956 0.394 0.687
O 0.422 0.108 0.927
O 0.381 0.145 0.692
O 0.403 0.125 0.439
O 0.881 0.351 0.192
O 0.597 0.371 0.061
O 0.956 0.894 0.187
O 0.403 0.625 0.939
O 0.903 0.871 0.439
O 0.097 0.125 0.560
O 0.097 0.625 0.060
O 0.079 0.108 0.073
O 0.579 0.888 0.073
O 0.079 0.608 0.573
O 0.922 0.888 0.927
O 0.881 0.851 0.692
O 0.579 0.388 0.573
Ta 0.245 0.335 0.617
Ta 0.745 0.661 0.617
Ta 0.745 0.161 0.117
Ta 0.245 0.835 0.117
Ta 0.755 0.661 0.383
Ta 0.255 0.335 0.382
Ta 0.255 0.835 0.882
Ta 0.755 0.161 0.883
V 0.250 0.854 0.500
V 0.750 0.642 0.000
V 0.750 0.142 0.500
V 0.250 0.354 0.000

---

Record 2
Computed, not measured: a relaxed structure of Ba2MgMnO4 at the PBE with a Hubbard U level of DFT.

## Properties
Energy relative to the elements in kJ per mole of atoms: -256.3
Volume in Å³/atom: 16.3
Offset from the most stable computed form in meV/atom: 0

a b c (Å): 9.816 8.010 8.959
angles (deg): 153.27 155.77 35.48
Element x y z (fractional)
O 0.850 0.819 0.000
O 0.850 0.682 0.500
O 0.351 0.183 0.500
O 0.355 0.004 0.000
Mn 0.851 0.081 0.000
Ba 0.354 0.327 0.000
Ba 0.850 0.480 0.000
Mg 0.350 0.752 0.000

---

Record 3
Computed, not measured: a relaxed structure of RbVSO6 at the PBE with a Hubbard U level of DFT.

## Properties
Energy relative to the elements in kJ per mole of atoms: -212.5
Volume in Å³/atom: 15.5

a b c (Å): 5.637 9.040 10.969
angles (deg): 90.00 90.00 90.00
Element x y z (fractional)
O 0.455 0.873 0.900
O 0.465 0.118 0.802
O 0.324 0.741 0.479
O 0.300 0.905 0.691
O 0.209 0.584 0.281
O 0.676 0.241 0.021
O 0.791 0.084 0.219
O 0.052 0.499 0.516
O 0.965 0.382 0.198
O 0.200 0.095 0.191
O 0.948 0.999 0.984
O 0.709 0.916 0.719
O 0.545 0.373 0.600
O 0.045 0.127 0.400
O 0.176 0.259 0.979
O 0.291 0.416 0.781
O 0.035 0.882 0.302
O 0.535 0.618 0.698
O 0.700 0.405 0.809
O 0.800 0.595 0.309
O 0.824 0.759 0.521
O 0.448 0.501 0.016
O 0.955 0.627 0.100
O 0.552 0.001 0.484
Rb 0.503 0.812 0.156
Rb 0.003 0.688 0.844
Rb 0.497 0.312 0.344
Rb 0.997 0.188 0.656
V 0.541 0.847 0.560
V 0.041 0.653 0.440
V 0.459 0.347 0.940
V 0.959 0.153 0.060
S 0.018 0.042 0.288
S 0.982 0.542 0.212
S 0.482 0.958 0.788
S 0.518 0.458 0.712

---

Record 4
Computed, not measured: a relaxed structure of Sr3Ca5Ti3Mn5O20 at the PBE with a Hubbard U level of DFT.

## Properties
Energy relative to the elements in kJ per mole of atoms: -285.6
Volume in Å³/atom: 13.5

a b c (Å): 11.053 11.300 17.457
angles (deg): 108.83 108.44 90.21
Element x y z (fractional)
O 0.700 0.219 0.876
O 0.125 0.113 0.991
O 0.935 0.070 0.751
O 0.937 0.586 0.762
O 0.933 0.412 0.358
O 0.385 0.381 0.506
O 0.334 0.780 0.128
O 0.885 0.876 0.507
O 0.127 0.114 0.490
O 0.414 0.079 0.249
O 0.954 0.906 0.876
O 0.075 0.592 0.642
O 0.136 0.389 0.020
O 0.138 0.881 0.509
O 0.084 0.093 0.131
O 0.926 0.072 0.239
O 0.392 0.391 0.017
O 0.829 0.287 0.129
O 0.703 0.706 0.370
O 0.380 0.621 0.989
O 0.712 0.724 0.877
O 0.186 0.935 0.762
O 0.888 0.388 0.018
O 0.633 0.870 0.508
O 0.672 0.926 0.240
O 0.192 0.198 0.365
O 0.835 0.777 0.125
O 0.417 0.074 0.742
O 0.823 0.297 0.627
O 0.084 0.083 0.640
O 0.622 0.122 0.485
O 0.377 0.620 0.485
O 0.193 0.209 0.873
O 0.185 0.443 0.753
O 0.205 0.716 0.874
O 0.430 0.583 0.759
O 0.334 0.281 0.127
O 0.881 0.380 0.506
O 0.168 0.421 0.241
O 0.389 0.882 0.514
O 0.391 0.882 0.015
O 0.079 0.603 0.128
O 0.952 0.414 0.877
O 0.948 0.898 0.363
O 0.823 0.790 0.626
O 0.420 0.578 0.249
O 0.875 0.617 0.986
O 0.877 0.116 0.490
O 0.168 0.923 0.248
O 0.205 0.716 0.373
O 0.920 0.568 0.248
O 0.670 0.921 0.752
O 0.641 0.381 0.018
O 0.627 0.621 0.985
O 0.635 0.378 0.508
O 0.580 0.085 0.624
O 0.583 0.096 0.125
O 0.696 0.213 0.371
O 0.670 0.413 0.246
O 0.143 0.881 0.017
O 0.450 0.902 0.372
O 0.375 0.106 0.483
O 0.629 0.120 0.988
O 0.126 0.382 0.504
O 0.126 0.627 0.990
O 0.463 0.906 0.875
O 0.451 0.405 0.371
O 0.329 0.787 0.625
O 0.623 0.616 0.483
O 0.643 0.880 0.017
O 0.575 0.591 0.625
O 0.894 0.885 0.018
O 0.123 0.626 0.488
O 0.377 0.107 0.986
O 0.324 0.288 0.628
O 0.589 0.597 0.127
O 0.459 0.411 0.877
O 0.875 0.116 0.991
O 0.873 0.617 0.487
O 0.676 0.432 0.759
Ca 0.445 0.206 0.388
Ca 0.696 0.438 0.891
Ca 0.557 0.796 0.610
Ca 0.558 0.794 0.110
Ca 0.444 0.707 0.891
Ca 0.692 0.933 0.888
Ca 0.301 0.066 0.607
Ca 0.302 0.069 0.112
Ca 0.806 0.568 0.112
Ca 0.803 0.067 0.108
Ca 0.301 0.565 0.115
Ca 0.196 0.935 0.894
Ca 0.700 0.434 0.388
Ca 0.551 0.292 0.110
Ca 0.445 0.705 0.387
Ca 0.188 0.933 0.387
Ca 0.057 0.293 0.110
Ca 0.945 0.707 0.894
Ca 0.941 0.703 0.387
Ca 0.050 0.797 0.113
Mn 0.369 0.407 0.753
Mn 0.613 0.604 0.753
Mn 0.258 0.250 0.003
Mn 0.110 0.092 0.247
Mn 0.359 0.404 0.248
Mn 0.005 0.996 0.496
Mn 0.857 0.900 0.751
Mn 0.607 0.590 0.247
Mn 0.109 0.597 0.249
Mn 0.368 0.903 0.750
Mn 0.603 0.097 0.247
Mn 0.859 0.904 0.245
Mn 0.114 0.093 0.755
Mn 0.851 0.403 0.244
Mn 0.860 0.410 0.754
Mn 0.114 0.605 0.757
Mn 0.357 0.905 0.251
Mn 0.254 0.247 0.498
Mn 0.606 0.094 0.748
Mn 0.001 0.500 0.497
Ti 0.503 0.500 0.497
Ti 0.750 0.252 0.000
Ti 0.003 0.000 0.999
Ti 0.504 0.999 0.002
Ti 0.754 0.750 0.000
Ti 0.256 0.753 0.008
Ti 0.752 0.251 0.497
Ti 0.753 0.747 0.496
Ti 0.504 0.503 0.003
Ti 0.254 0.751 0.499
Ti 0.004 0.500 0.004
Ti 0.500 0.998 0.498
Sr 0.061 0.299 0.611
Sr 0.813 0.563 0.613
Sr 0.696 0.933 0.384
Sr 0.443 0.199 0.886
Sr 0.558 0.299 0.613
Sr 0.195 0.439 0.891
Sr 0.947 0.201 0.386
Sr 0.191 0.434 0.385
Sr 0.809 0.061 0.609
Sr 0.949 0.204 0.891
Sr 0.058 0.802 0.614
Sr 0.305 0.561 0.613

---

Record 5
Computed, not measured: a relaxed structure of KMn6O12 at the PBE with a Hubbard U level of DFT.

## Properties
Energy relative to the elements in kJ per mole of atoms: -185.4
Volume in Å³/atom: 11.6

a b c (Å): 8.341 8.341 8.341
angles (deg): 106.39 106.39 115.83
Element x y z (fractional)
K 0.710 0.710 0.000
K 0.290 0.290 0.000
Mn 0.818 0.332 0.817
Mn 0.332 0.515 0.514
Mn 0.182 0.668 0.183
Mn 0.515 0.001 0.183
Mn 0.485 0.999 0.817
Mn 0.668 0.485 0.486
Mn 0.849 0.334 0.183
Mn 0.666 0.849 0.516
Mn 0.151 0.666 0.817
Mn 0.999 0.182 0.514
Mn 0.334 0.151 0.484
Mn 0.001 0.818 0.486
O 0.371 0.323 0.359
O 0.677 0.037 0.049
O 0.666 0.291 0.290
O 0.665 0.043 0.708
O 0.043 0.335 0.377
O 0.323 0.963 0.951
O 0.957 0.665 0.623
O 0.334 0.709 0.710
O 0.297 0.345 0.643
O 0.001 0.376 0.710
O 0.335 0.957 0.292
O 0.037 0.988 0.359
O 0.624 0.334 0.625
O 0.629 0.677 0.641
O 0.376 0.666 0.375
O 0.291 0.001 0.625
O 0.655 0.297 0.952
O 0.709 0.999 0.375
O 0.345 0.703 0.048
O 0.012 0.371 0.049
O 0.999 0.624 0.290
O 0.963 0.012 0.641
O 0.988 0.629 0.951
O 0.703 0.655 0.357

---

Record 6
Computed, not measured: a relaxed structure of VSiO4 at the PBE with a Hubbard U level of DFT.

## Properties
Energy relative to the elements in kJ per mole of atoms: -237.4
Volume in Å³/atom: 9.8

a b c (Å): 9.709 9.709 9.709
angles (deg): 109.47 109.47 109.47
Element x y z (fractional)
V 0.750 0.625 0.875
V 0.125 0.375 0.750
V 0.875 0.625 0.250
V 0.875 0.750 0.625
V 0.375 0.750 0.125
V 0.125 0.250 0.375
V 0.625 0.250 0.875
V 0.625 0.875 0.750
V 0.250 0.375 0.125
V 0.750 0.125 0.375
V 0.375 0.125 0.250
V 0.250 0.875 0.625
O 0.036 0.310 0.905
O 0.405 0.096 0.870
O 0.096 0.726 0.690
O 0.690 0.096 0.726
O 0.905 0.370 0.596
O 0.096 0.870 0.405
O 0.190 0.226 0.596
O 0.226 0.130 0.036
O 0.310 0.905 0.036
O 0.095 0.630 0.404
O 0.464 0.595 0.190
O 0.595 0.904 0.130
O 0.964 0.690 0.095
O 0.370 0.596 0.905
O 0.404 0.810 0.774
O 0.536 0.630 0.726
O 0.596 0.905 0.370
O 0.690 0.095 0.964
O 0.596 0.190 0.226
O 0.905 0.036 0.310
O 0.370 0.274 0.464
O 0.595 0.190 0.464
O 0.226 0.596 0.190
O 0.274 0.310 0.904
O 0.904 0.274 0.310
O 0.274 0.464 0.370
O 0.774 0.404 0.810
O 0.404 0.095 0.630
O 0.130 0.595 0.904
O 0.536 0.405 0.810
O 0.810 0.536 0.405
O 0.630 0.404 0.095
O 0.630 0.726 0.536
O 0.405 0.810 0.536
O 0.036 0.226 0.130
O 0.726 0.536 0.630
O 0.726 0.690 0.096
O 0.810 0.774 0.404
O 0.310 0.904 0.274
O 0.774 0.870 0.964
O 0.870 0.964 0.774
O 0.904 0.130 0.595
O 0.870 0.405 0.096
O 0.190 0.464 0.595
O 0.095 0.964 0.690
O 0.964 0.774 0.870
O 0.130 0.036 0.226
O 0.464 0.370 0.274
Si 0.625 0.750 0.375
Si 0.750 0.875 0.125
Si 0.250 0.125 0.875
Si 0.250 0.625 0.375
Si 0.125 0.875 0.250
Si 0.375 0.625 0.750
Si 0.125 0.750 0.875
Si 0.750 0.375 0.625
Si 0.875 0.125 0.750
Si 0.875 0.250 0.125
Si 0.375 0.250 0.625
Si 0.625 0.375 0.250

---

Record 7
Computed, not measured: a relaxed structure of LiCoSnO4 at the PBE with a Hubbard U level of DFT.

## Properties
Energy relative to the elements in kJ per mole of atoms: -177.1
Volume in Å³/atom: 11.7
Offset from the most stable computed form in meV/atom: 11

a b c (Å): 6.209 6.209 8.535
angles (deg): 88.04 88.05 89.68
Element x y z (fractional)
O 0.753 0.771 0.495
O 0.750 0.228 0.478
O 0.522 0.503 0.245
O 0.252 0.272 0.995
O 0.022 0.500 0.772
O 0.247 0.228 0.505
O 0.979 0.501 0.229
O 0.022 0.003 0.745
O 0.749 0.271 0.021
O 0.478 0.497 0.755
O 0.249 0.771 0.521
O 0.522 0.000 0.272
O 0.978 0.998 0.255
O 0.250 0.728 0.978
O 0.479 0.001 0.729
O 0.747 0.728 0.005
Co 0.999 0.499 0.000
Co 0.499 0.998 0.500
Co 0.252 0.751 0.750
Co 0.751 0.251 0.250
Li 0.252 0.998 0.125
Li 0.248 0.501 0.375
Li 0.752 0.498 0.625
Li 0.749 0.002 0.875
Sn 0.750 0.750 0.250
Sn 0.500 0.500 0.000
Sn 0.000 0.000 0.500
Sn 0.250 0.251 0.750